1.
A relaxed structure of ZnSn3P2S4O24, computed with GGA-PBE.

Output
E_tot = -6.243 eV per atom
DFT formation energy = -2.04 eV/atom

Unit cell a=8.745 b=8.751 c=22.640 alpha=89.67 beta=89.85 gamma=60.12
Space group P1 (No. 1)
Unique sites:
Zn: 0.000 0.000 0.000 (multiplicity 1)
Zn: 0.014 0.001 0.500 (multiplicity 1)
Zn: 0.667 0.665 0.168 (multiplicity 1)
Sn: 0.003 0.997 0.793 (multiplicity 1)
Sn: 0.019 0.992 0.293 (multiplicity 1)
Sn: 0.341 0.332 0.631 (multiplicity 1)
Sn: 0.341 0.338 0.126 (multiplicity 1)
Sn: 0.342 0.331 0.334 (multiplicity 1)
Sn: 0.347 0.327 0.834 (multiplicity 1)
Sn: 0.669 0.670 0.460 (multiplicity 1)
Sn: 0.675 0.666 0.673 (multiplicity 1)
Sn: 0.675 0.671 0.961 (multiplicity 1)
P: 0.054 0.622 0.732 (multiplicity 1)
P: 0.296 0.002 0.399 (multiplicity 1)
P: 0.338 0.042 0.732 (multiplicity 1)
P: 0.346 0.621 0.231 (multiplicity 1)
P: 0.632 0.331 0.731 (multiplicity 1)
P: 0.719 0.001 0.899 (multiplicity 1)
S: 0.009 0.288 0.899 (multiplicity 1)
S: 0.009 0.708 0.399 (multiplicity 1)
S: 0.047 0.336 0.230 (multiplicity 1)
S: 0.298 0.708 0.899 (multiplicity 1)
S: 0.380 0.957 0.066 (multiplicity 1)
S: 0.381 0.666 0.565 (multiplicity 1)
S: 0.634 0.038 0.231 (multiplicity 1)
S: 0.677 0.958 0.565 (multiplicity 1)
S: 0.680 0.373 0.065 (multiplicity 1)
S: 0.719 0.287 0.398 (multiplicity 1)
S: 0.963 0.670 0.066 (multiplicity 1)
S: 0.965 0.374 0.564 (multiplicity 1)
O: 0.033 0.173 0.238 (multiplicity 1)
O: 0.035 0.803 0.738 (multiplicity 1)
O: 0.039 0.785 0.451 (multiplicity 1)
O: 0.041 0.180 0.951 (multiplicity 1)
O: 0.127 0.364 0.285 (multiplicity 1)
O: 0.133 0.504 0.787 (multiplicity 1)
O: 0.141 0.361 0.571 (multiplicity 1)
O: 0.142 0.503 0.071 (multiplicity 1)
O: 0.165 0.294 0.178 (multiplicity 1)
O: 0.165 0.311 0.890 (multiplicity 1)
O: 0.165 0.531 0.390 (multiplicity 1)
O: 0.165 0.546 0.675 (multiplicity 1)
O: 0.174 0.802 0.238 (multiplicity 1)
O: 0.175 0.023 0.740 (multiplicity 1)
O: 0.184 0.034 0.453 (multiplicity 1)
O: 0.191 0.785 0.951 (multiplicity 1)
O: 0.206 0.978 0.056 (multiplicity 1)
O: 0.209 0.821 0.557 (multiplicity 1)
O: 0.221 0.964 0.342 (multiplicity 1)
O: 0.226 0.817 0.844 (multiplicity 1)
O: 0.302 0.540 0.177 (multiplicity 1)
O: 0.303 0.154 0.674 (multiplicity 1)
O: 0.316 0.531 0.890 (multiplicity 1)
O: 0.319 0.165 0.389 (multiplicity 1)
O: 0.366 0.136 0.072 (multiplicity 1)
O: 0.369 0.503 0.571 (multiplicity 1)
O: 0.375 0.506 0.287 (multiplicity 1)
O: 0.377 0.121 0.786 (multiplicity 1)
O: 0.463 0.849 0.118 (multiplicity 1)
O: 0.465 0.696 0.617 (multiplicity 1)
O: 0.478 0.687 0.905 (multiplicity 1)
O: 0.484 0.835 0.405 (multiplicity 1)
O: 0.494 0.884 0.011 (multiplicity 1)
O: 0.497 0.627 0.511 (multiplicity 1)
O: 0.503 0.861 0.722 (multiplicity 1)
O: 0.505 0.641 0.223 (multiplicity 1)
O: 0.513 0.133 0.571 (multiplicity 1)
O: 0.515 0.358 0.070 (multiplicity 1)
O: 0.515 0.371 0.786 (multiplicity 1)
O: 0.523 0.117 0.285 (multiplicity 1)
O: 0.533 0.163 0.890 (multiplicity 1)
O: 0.540 0.309 0.390 (multiplicity 1)
O: 0.556 0.154 0.178 (multiplicity 1)
O: 0.556 0.295 0.674 (multiplicity 1)
O: 0.638 0.488 0.010 (multiplicity 1)
O: 0.639 0.880 0.511 (multiplicity 1)
O: 0.649 0.496 0.722 (multiplicity 1)
O: 0.653 0.866 0.224 (multiplicity 1)
O: 0.697 0.834 0.905 (multiplicity 1)
O: 0.700 0.466 0.404 (multiplicity 1)
O: 0.704 0.455 0.117 (multiplicity 1)
O: 0.707 0.844 0.617 (multiplicity 1)
O: 0.794 0.179 0.451 (multiplicity 1)
O: 0.799 0.033 0.953 (multiplicity 1)
O: 0.808 0.029 0.240 (multiplicity 1)
O: 0.815 0.169 0.738 (multiplicity 1)
O: 0.826 0.213 0.344 (multiplicity 1)
O: 0.831 0.963 0.842 (multiplicity 1)
O: 0.832 0.200 0.056 (multiplicity 1)
O: 0.832 0.975 0.556 (multiplicity 1)
O: 0.848 0.467 0.905 (multiplicity 1)
O: 0.849 0.687 0.405 (multiplicity 1)
O: 0.852 0.457 0.617 (multiplicity 1)
O: 0.855 0.693 0.118 (multiplicity 1)
O: 0.872 0.639 0.723 (multiplicity 1)
O: 0.876 0.490 0.223 (multiplicity 1)
O: 0.887 0.490 0.510 (multiplicity 1)
O: 0.891 0.628 0.011 (multiplicity 1)
O: 0.970 0.818 0.344 (multiplicity 1)
O: 0.975 0.215 0.844 (multiplicity 1)
O: 0.981 0.202 0.557 (multiplicity 1)
O: 0.987 0.820 0.057 (multiplicity 1)



2.
A relaxed structure of SrP2S2O9, computed with GGA-PBE.

Output
E_tot = -5.830 eV per atom
DFT formation energy = -1.16 eV/atom

Unit cell a=7.541 b=8.772 c=8.872 alpha=61.01 beta=80.82 gamma=80.51
Space group P-1 (No. 2)
Unique sites:
Sr: 0.167 0.204 0.281 (multiplicity 2)
P: 0.084 0.763 0.359 (multiplicity 2)
P: 0.178 0.442 0.670 (multiplicity 2)
S: 0.188 0.909 0.088 (multiplicity 2)
S: 0.401 0.351 0.771 (multiplicity 2)
O: 0.015 0.519 0.743 (multiplicity 2)
O: 0.058 0.890 0.431 (multiplicity 2)
O: 0.096 0.092 0.055 (multiplicity 2)
O: 0.110 0.292 0.632 (multiplicity 2)
O: 0.212 0.592 0.457 (multiplicity 2)
O: 0.418 0.496 0.019 (multiplicity 2)
O: 0.423 0.849 0.694 (multiplicity 2)
O: 0.456 0.222 0.391 (multiplicity 2)
O: 0.498 0.106 0.207 (multiplicity 2)



3.
A relaxed structure of TaZnPS2O12, computed with GGA-PBE.

Output
E_tot = -6.879 eV per atom
DFT formation energy = -2.29 eV/atom

Unit cell a=15.145 b=8.731 c=22.484 alpha=90.00 beta=90.14 gamma=90.00
Space group Cc (No. 9)
Unique sites:
Ta: 0.000 0.001 0.000 (multiplicity 4)
Ta: 0.158 0.492 0.167 (multiplicity 4)
Ta: 0.329 0.002 0.833 (multiplicity 4)
Zn: 0.162 0.499 0.457 (multiplicity 4)
Zn: 0.328 0.002 0.623 (multiplicity 4)
Zn: 0.497 0.491 0.790 (multiplicity 4)
P: 0.138 0.152 0.392 (multiplicity 4)
P: 0.167 0.211 0.058 (multiplicity 4)
P: 0.469 0.150 0.725 (multiplicity 4)
S: 0.015 0.360 0.559 (multiplicity 4)
S: 0.182 0.142 0.726 (multiplicity 4)
S: 0.305 0.353 0.559 (multiplicity 4)
S: 0.331 0.289 0.226 (multiplicity 4)
S: 0.349 0.361 0.893 (multiplicity 4)
S: 0.497 0.212 0.392 (multiplicity 4)
O: 0.008 0.185 0.552 (multiplicity 4)
O: 0.008 0.194 0.840 (multiplicity 4)
O: 0.056 0.423 0.507 (multiplicity 4)
O: 0.064 0.433 0.217 (multiplicity 4)
O: 0.070 0.389 0.902 (multiplicity 4)
O: 0.075 0.378 0.614 (multiplicity 4)
O: 0.077 0.113 0.051 (multiplicity 4)
O: 0.083 0.116 0.339 (multiplicity 4)
O: 0.094 0.067 0.449 (multiplicity 4)
O: 0.094 0.082 0.736 (multiplicity 4)
O: 0.145 0.317 0.115 (multiplicity 4)
O: 0.152 0.318 0.405 (multiplicity 4)
O: 0.175 0.311 0.005 (multiplicity 4)
O: 0.176 0.316 0.718 (multiplicity 4)
O: 0.222 0.075 0.674 (multiplicity 4)
O: 0.232 0.069 0.383 (multiplicity 4)
O: 0.241 0.105 0.071 (multiplicity 4)
O: 0.241 0.119 0.781 (multiplicity 4)
O: 0.247 0.388 0.219 (multiplicity 4)
O: 0.252 0.381 0.507 (multiplicity 4)
O: 0.261 0.419 0.902 (multiplicity 4)
O: 0.264 0.429 0.614 (multiplicity 4)
O: 0.311 0.191 0.281 (multiplicity 4)
O: 0.318 0.191 0.569 (multiplicity 4)
O: 0.342 0.185 0.885 (multiplicity 4)
O: 0.342 0.196 0.174 (multiplicity 4)
O: 0.389 0.425 0.840 (multiplicity 4)
O: 0.395 0.430 0.551 (multiplicity 4)
O: 0.405 0.389 0.237 (multiplicity 4)
O: 0.407 0.380 0.947 (multiplicity 4)
O: 0.413 0.115 0.385 (multiplicity 4)
O: 0.415 0.114 0.671 (multiplicity 4)
O: 0.427 0.066 0.782 (multiplicity 4)
O: 0.428 0.080 0.069 (multiplicity 4)
O: 0.477 0.310 0.447 (multiplicity 4)
O: 0.484 0.316 0.736 (multiplicity 4)